Entry 1:
DFT (r²SCAN) results for a geometry-optimized ErB4Rh structure.

The calculation puts the total energy at -91.6 eV/f.u. The density is 8.66 g cm⁻³.

The space group is Pbam (No. 55) and the conventional cell measures 5.9255, 11.4881 and 3.5326 Å, with angles of 90.00, 90.00 and 90.00 degrees. The distinct sites, in fractional coordinates, are Er at (0.1315, 0.1488, 0.0000), B at (0.0221, 0.6929, 0.5000), B at (0.1125, 0.5471, 0.5000), B at (0.1359, 0.9694, 0.5000), B at (0.2091, 0.8129, 0.5000) and Rh at (0.1426, 0.4052, 0.0000).

Entry 2:
DFT (r²SCAN) results for a geometry-optimized Er2B6Rh structure.

The calculation puts the total energy at -142.6 eV/f.u. The density is 8.84 g cm⁻³.

The space group is Pbam (No. 55) and the conventional cell measures 9.1108, 11.4372 and 3.6227 Å, with angles of 90.00, 90.00 and 90.00 degrees. The distinct sites, in fractional coordinates, are Er at (0.0556, 0.1262, 0.0000), Er at (0.1774, 0.4136, 0.0000), B at (0.0173, 0.2873, 0.5000), B at (0.0533, 0.5659, 0.5000), B at (0.1109, 0.9698, 0.5000), B at (0.1335, 0.8159, 0.5000), B at (0.2057, 0.2356, 0.5000), B at (0.2491, 0.5796, 0.5000) and Rh at (0.1395, 0.6790, 0.0000).

Entry 3:
DFT (r²SCAN) results for a geometry-optimized ErBRh3 structure.

The calculation puts the total energy at -118.1 eV/f.u. The density is 11.24 g cm⁻³.

The space group is Pm-3m (No. 221) and the conventional cell measures 4.1590, 4.1590 and 4.1590 Å, with angles of 90.00, 90.00 and 90.00 degrees. The distinct sites, in fractional coordinates, are Er at (0.0000, 0.0000, 0.0000), B at (0.5000, 0.5000, 0.5000) and Rh at (0.0000, 0.5000, 0.5000).

Which of these has the lowest density?
ErB4Rh

Which formula does entry 1 have?
ErB4Rh

Which formula does entry 3 have?
ErBRh3